1.
Computed, not measured: an optimized crystal structure of Mo3WSe4S4 at the GGA-PBE level of DFT.

abc: 3.2541 3.2541 36.8387
angles: 90.00 90.00 120.00
Space group P3m1 (No. 156)
Inequivalent atoms, fractional coordinates:
Mo 0.0000 0.0000 0.0000 (multiplicity 1)
Mo 0.0000 0.0000 0.3758 (multiplicity 1)
Mo 0.3333 0.6667 0.5637 (multiplicity 1)
W 0.3333 0.6667 0.1879 (multiplicity 1)
Se 0.0000 0.0000 0.5176 (multiplicity 1)
Se 0.0000 0.0000 0.6097 (multiplicity 1)
Se 0.3333 0.6667 0.3297 (multiplicity 1)
Se 0.3333 0.6667 0.4218 (multiplicity 1)
S 0.0000 0.0000 0.1458 (multiplicity 1)
S 0.0000 0.0000 0.2299 (multiplicity 1)
S 0.3333 0.6667 0.0419 (multiplicity 1)
S 0.3333 0.6667 0.9581 (multiplicity 1)

- Calculated total energy: -84.95 eV per cell
- Energy of formation from the pure elements: -0.91 eV/atom
- V: 337.82 Å³ per cell
- E above lowest polymorph: 1 meV per atom



2.
Computed, not measured: an optimized crystal structure of Mg6ZnB at the GGA-PBE level of DFT.

abc: 3.8856 8.0945 9.7699
angles: 90.00 90.00 90.00
Space group Amm2 (No. 38)
Inequivalent atoms, fractional coordinates:
Mg 0.0000 0.0000 0.0000 (multiplicity 2)
Mg 0.0000 0.1784 0.2593 (multiplicity 4)
Mg 0.5000 0.0000 0.7678 (multiplicity 2)
Mg 0.5000 0.2315 0.5127 (multiplicity 4)
Zn 0.0000 0.0000 0.5571 (multiplicity 2)
B 0.5000 0.0000 0.1509 (multiplicity 2)

- Calculated total energy: -32.07 eV per cell
- Energy of formation from the pure elements: 0.19 eV/atom
- V: 307.28 Å³ per cell
- E above lowest polymorph: 0 meV per atom